Arrangement P

Below is an optimized crystal structure of LiMn2P3O12, with properties calculated at the PBE with a Hubbard U level.

The structure in CIF format:
```
data_LiMn2P3O12
_symmetry_space_group_name_H-M 'P 1 21/c 1'
_symmetry_Int_Tables_number 14
_symmetry_space_group_name_Hall '-P 2ybc'
_cell_length_a 8.2500
_cell_length_b 8.4738
_cell_length_c 14.3255
_cell_angle_alpha 90.00
_cell_angle_beta 124.88
_cell_angle_gamma 90.00
loop_
_atom_site_label
_atom_site_fract_x
_atom_site_fract_y
_atom_site_fract_z
_atom_site_occupancy
Li1 0.2305 0.0994 0.3018 1
Mn1 0.1478 0.5297 0.3922 1
Mn2 0.3607 0.5293 0.1167 1
P1 0.0357 0.1125 0.6458 1
P2 0.2548 0.6148 0.6434 1
P3 0.4737 0.2495 0.0096 1
O1 0.0025 0.5171 0.7757 1
O2 0.0359 0.2053 0.1624 1
O3 0.0392 0.6089 0.6076 1
O4 0.1211 0.5709 0.9783 1
O5 0.2463 0.0761 0.6799 1
O6 0.2762 0.5594 0.5475 1
O7 0.3167 0.1364 0.9153 1
O8 0.3302 0.6732 0.3948 1
O9 0.3419 0.7181 0.1808 1
O10 0.3772 0.5016 0.7468 1
O11 0.3786 0.1704 0.5633 1
O12 0.4972 0.1270 0.4377 1
```


Arrangement Q

Below is an optimized crystal structure of LiMn2P3O12, with properties calculated at the PBE with a Hubbard U level.

The structure in CIF format:
```
data_LiMn2P3O12
_symmetry_space_group_name_H-M 'C 1 2/c 1'
_symmetry_Int_Tables_number 15
_symmetry_space_group_name_Hall '-C 2yc'
_cell_length_a 11.8356
_cell_length_b 12.1966
_cell_length_c 6.1882
_cell_angle_alpha 90.00
_cell_angle_beta 112.95
_cell_angle_gamma 90.00
loop_
_atom_site_label
_atom_site_fract_x
_atom_site_fract_y
_atom_site_fract_z
_atom_site_occupancy
Li1 0.0000 0.0000 0.0000 1
Mn1 0.2197 0.3397 0.1373 1
P1 0.0000 0.2241 0.7500 1
P2 0.2434 0.0955 0.3587 1
O1 0.0539 0.2968 0.9740 1
O2 0.1002 0.1465 0.7263 1
O3 0.1108 0.0723 0.2875 1
O4 0.1780 0.4890 0.1083 1
O5 0.1935 0.3374 0.4102 1
O6 0.2347 0.3246 0.8300 1
```


Arrangement R

Below is an optimized crystal structure of LiMn2P3O12, with properties calculated at the PBE with a Hubbard U level.

The structure in CIF format:
```
data_LiMn2P3O12
_symmetry_space_group_name_H-M 'C 1 2/c 1'
_symmetry_Int_Tables_number 15
_symmetry_space_group_name_Hall '-C 2yc'
_cell_length_a 14.5645
_cell_length_b 8.4300
_cell_length_c 8.4279
_cell_angle_alpha 90.00
_cell_angle_beta 125.27
_cell_angle_gamma 90.00
loop_
_atom_site_label
_atom_site_fract_x
_atom_site_fract_y
_atom_site_fract_z
_atom_site_occupancy
Li1 0.2500 0.2500 0.0000 1
Mn1 0.1113 0.2501 0.1420 1
P1 0.0000 0.0371 0.7500 1
P2 0.1441 0.3947 0.5361 1
O1 0.0330 0.3384 0.4976 1
O2 0.0692 0.0617 0.2013 1
O3 0.0893 0.1441 0.9206 1
O4 0.1575 0.4220 0.0528 1
O5 0.1588 0.3531 0.3745 1
O6 0.2357 0.3178 0.7345 1
```


Arrangement S

Below is an optimized crystal structure of LiMn2P3O12, with properties calculated at the PBE with a Hubbard U level.

The structure in CIF format:
```
data_LiMn2P3O12
_symmetry_space_group_name_H-M 'C 1 c 1'
_symmetry_Int_Tables_number 9
_symmetry_space_group_name_Hall 'C -2yc'
_cell_length_a 14.6102
_cell_length_b 8.4144
_cell_length_c 8.5833
_cell_angle_alpha 90.00
_cell_angle_beta 124.30
_cell_angle_gamma 90.00
loop_
_atom_site_label
_atom_site_fract_x
_atom_site_fract_y
_atom_site_fract_z
_atom_site_occupancy
Li1 0.0000 0.1687 0.0000 1
Mn1 0.2003 0.2482 0.3835 1
Mn2 0.4068 0.2467 0.0237 1
P1 0.1640 0.1130 0.7069 1
P2 0.3011 0.4613 0.2048 1
P3 0.4411 0.1102 0.6957 1
O1 0.0416 0.2931 0.2337 1
O2 0.0617 0.2043 0.6616 1
O3 0.1429 0.0682 0.2088 1
O4 0.1879 0.1262 0.5546 1
O5 0.2096 0.3633 0.1983 1
O6 0.2398 0.4370 0.5271 1
O7 0.2582 0.1764 0.9022 1
O8 0.3489 0.1787 0.4986 1
O9 0.3738 0.4469 0.8937 1
O10 0.3916 0.3530 0.2146 1
O11 0.4174 0.1282 0.8469 1
O12 0.4605 0.0679 0.1909 1
```


The energetic minimum among the shown structures is arrangement R; the next structure lies 6 meV/atom above.